{"formula": "KMnF3", "functional": "GGA+U", "state": "optimized geometry", "cell": [[-0.4595, -5.6545, 1.9808], [-5.2762, -0.5323, -2.8261], [4.8917, 1.6919, -3.0524]], "species": ["F", "F", "F", "F", "F", "F", "K", "K", "Mn", "Mn"], "frac_coords": [[0.2248, 0.7248, 0.0000], [0.7752, 0.7752, 0.5000], [0.2987, 0.7500, 0.5487], [0.7752, 0.2752, 0.0000], [0.7013, 0.2500, 0.4513], [0.2248, 0.2248, 0.5000], [0.7531, 0.7500, 0.0031], [0.2469, 0.2500, 0.9969], [0.0000, 0.5000, 0.5000], [0.5000, 0.0000, 0.5000]], "total_energy_ev_per_atom": -5.612, "crystal_system": "orthorhombic", "sg": "Imma (74)"}

=====

{"formula": "Mg7Co17O32", "functional": "GGA+U", "state": "optimized geometry", "cell": [[2.8970, 5.0140, 0.0000], [-2.8970, 5.0140, 0.0000], [0.0000, 3.5385, 18.9380]], "species": ["O", "O", "O", "O", "O", "O", "O", "O", "O", "O", "O", "O", "O", "O", "O", "O", "O", "O", "O", "O", "O", "O", "O", "O", "O", "O", "O", "O", "O", "O", "O", "O", "Co", "Co", "Co", "Co", "Co", "Co", "Co", "Co", "Co", "Co", "Co", "Co", "Co", "Co", "Co", "Co", "Co", "Mg", "Mg", "Mg", "Mg", "Mg", "Mg", "Mg"], "frac_coords": [[0.2079, 0.6904, 0.4335], [0.0446, 0.5586, 0.8177], [0.5702, 0.5702, 0.3181], [0.1813, 0.7236, 0.9379], [0.2764, 0.8187, 0.0621], [0.5417, 0.0599, 0.3159], [0.4337, 0.4337, 0.1796], [0.4414, 0.9554, 0.1823], [0.8202, 0.8202, 0.5684], [0.3198, 0.3198, 0.0704], [0.4583, 0.9401, 0.6841], [0.6802, 0.6802, 0.9296], [0.9401, 0.4583, 0.6841], [0.7921, 0.3096, 0.5665], [0.0675, 0.0675, 0.3189], [0.6904, 0.2079, 0.4335], [0.8268, 0.8268, 0.0653], [0.9325, 0.9325, 0.6811], [0.3172, 0.3172, 0.5693], [0.3096, 0.7921, 0.5665], [0.5663, 0.5663, 0.8204], [0.0702, 0.0702, 0.8189], [0.6828, 0.6828, 0.4307], [0.8187, 0.2764, 0.0621], [0.0599, 0.5417, 0.3159], [0.4298, 0.4298, 0.6819], [0.1732, 0.1732, 0.9347], [0.9298, 0.9298, 0.1811], [0.5586, 0.0446, 0.8177], [0.9554, 0.4414, 0.1823], [0.1798, 0.1798, 0.4316], [0.7236, 0.1813, 0.9379], [0.8994, 0.8994, 0.2832], [0.8752, 0.3749, 0.3748], [0.1248, 0.6251, 0.6252], [0.8774, 0.3735, 0.8760], [0.5991, 0.5991, 0.2166], [0.0000, 0.0000, 0.0000], [0.1006, 0.1006, 0.7168], [0.6510, 0.6510, 0.0308], [0.1493, 0.1493, 0.5336], [0.6265, 0.1226, 0.1240], [0.3749, 0.8752, 0.3748], [0.1226, 0.6265, 0.1240], [0.6251, 0.1248, 0.6252], [0.3490, 0.3490, 0.9692], [0.3735, 0.8774, 0.8760], [0.4009, 0.4009, 0.7834], [0.8507, 0.8507, 0.4664], [0.6252, 0.6252, 0.6251], [0.5000, 0.5000, 0.5000], [0.8764, 0.8764, 0.8760], [0.3748, 0.3748, 0.3749], [0.7502, 0.7502, 0.7510], [0.2498, 0.2498, 0.2490], [0.1236, 0.1236, 0.1240]], "total_energy_ev_per_atom": -6.000, "crystal_system": "monoclinic", "sg": "C2/m (12)"}

=====

{"formula": "AlNi2O4", "functional": "GGA+U", "state": "optimized geometry", "cell": [[-3.8878, -1.2570, 4.4509], [0.3991, 4.5520, 3.9530], [-0.8627, 0.1241, -5.9788]], "species": ["O", "O", "O", "O", "O", "O", "O", "O", "Al", "Al", "Ni", "Ni", "Ni", "Ni"], "frac_coords": [[0.3489, 0.2217, 0.4981], [0.6008, 0.5989, 0.6272], [0.0263, 0.3992, 0.9981], [0.7783, 0.2763, 0.1272], [0.1492, 0.6511, 0.8728], [0.4011, 0.0283, 0.0019], [0.7237, 0.8508, 0.5019], [0.9717, 0.9737, 0.3728], [0.7500, 0.2500, 0.5000], [0.0000, 0.0000, 0.0000], [0.3750, 0.6250, 0.2500], [0.8750, 0.6250, 0.2500], [0.3750, 0.1250, 0.7500], [0.3750, 0.6250, 0.7500]], "total_energy_ev_per_atom": -5.412, "crystal_system": "tetragonal", "sg": "I4_1/a (88)"}

=====

{"formula": "Li3Mn4P8O28", "functional": "GGA+U", "state": "optimized geometry", "cell": [[-6.8553, -0.4932, -6.8472], [6.5278, -3.6696, -6.2688], [-0.7554, -10.0661, 5.0220]], "species": ["O", "O", "O", "O", "O", "O", "O", "O", "O", "O", "O", "O", "O", "O", "O", "O", "O", "O", "O", "O", "O", "O", "O", "O", "O", "O", "O", "O", "O", "O", "O", "O", "O", "O", "O", "O", "O", "O", "O", "O", "O", "O", "O", "O", "O", "O", "O", "O", "O", "O", "O", "O", "O", "O", "O", "O", "P", "P", "P", "P", "P", "P", "P", "P", "P", "P", "P", "P", "P", "P", "P", "P", "Li", "Li", "Li", "Li", "Li", "Li", "Mn", "Mn", "Mn", "Mn", "Mn", "Mn", "Mn", "Mn"], "frac_coords": [[0.6835, 0.6836, 0.3131], [0.0965, 0.5898, 0.7851], [0.2111, 0.0554, 0.5279], [0.3269, 0.7910, 0.5858], [0.7906, 0.9326, 0.4628], [0.7158, 0.4373, 0.5167], [0.1768, 0.8103, 0.3091], [0.4217, 0.5912, 0.2664], [0.3128, 0.3302, 0.1711], [0.8584, 0.9379, 0.6932], [0.6005, 0.1617, 0.8377], [0.4755, 0.7487, 0.9048], [0.9763, 0.7565, 0.9008], [0.5140, 0.0688, 0.6174], [0.3646, 0.5696, 0.6996], [0.6302, 0.4311, 0.2877], [0.2215, 0.6641, 0.9975], [0.8658, 0.4563, 0.7827], [0.3938, 0.8458, 0.1530], [0.3655, 0.0461, 0.7800], [0.5818, 0.6026, 0.1120], [0.2918, 0.1554, 0.9978], [0.9093, 0.0737, 0.8879], [0.0799, 0.9094, 0.1136], [0.6308, 0.9542, 0.2194], [0.1941, 0.8241, 0.8166], [0.7878, 0.3355, 0.0002], [0.5758, 0.4129, 0.7309], [0.6882, 0.2135, 0.4059], [0.8203, 0.7120, 0.5880], [0.0747, 0.0898, 0.7339], [0.9193, 0.9102, 0.2666], [0.8282, 0.1964, 0.6949], [0.3206, 0.3138, 0.6950], [0.8082, 0.1689, 0.1804], [0.0341, 0.8474, 0.5737], [0.2927, 0.5569, 0.4737], [0.1288, 0.0681, 0.3001], [0.1058, 0.3428, 0.8504], [0.9656, 0.1540, 0.4347], [0.5268, 0.2519, 0.0920], [0.7244, 0.8347, 0.0013], [0.4028, 0.0937, 0.2159], [0.4782, 0.9181, 0.3762], [0.5376, 0.6486, 0.5709], [0.4658, 0.3435, 0.4189], [0.1362, 0.5383, 0.2254], [0.9040, 0.6564, 0.1687], [0.6905, 0.6757, 0.8216], [0.1794, 0.2882, 0.4146], [0.9017, 0.4048, 0.2136], [0.0240, 0.2348, 0.0998], [0.6003, 0.9129, 0.7918], [0.4182, 0.4247, 0.8905], [0.9876, 0.5556, 0.3875], [0.0152, 0.4146, 0.6263], [0.6223, 0.3516, 0.4139], [0.4770, 0.9452, 0.2467], [0.9830, 0.5465, 0.2535], [0.3831, 0.2131, 0.1169], [0.8809, 0.2808, 0.1198], [0.6160, 0.7847, 0.8829], [0.5191, 0.0540, 0.7492], [0.8755, 0.8559, 0.5739], [0.9257, 0.0760, 0.7584], [0.0215, 0.4449, 0.7586], [0.0691, 0.9218, 0.2464], [0.3792, 0.6466, 0.5752], [0.1229, 0.1449, 0.4266], [0.5702, 0.5802, 0.2434], [0.4278, 0.4258, 0.7588], [0.1165, 0.7181, 0.8792], [0.4140, 0.5956, 0.9779], [0.9142, 0.9057, 0.9782], [0.8289, 0.5913, 0.4543], [0.3929, 0.9558, 0.5016], [0.8735, 0.2778, 0.5461], [0.1429, 0.4419, 0.5218], [0.7578, 0.2816, 0.8291], [0.7001, 0.5721, 0.6734], [0.3008, 0.4318, 0.3261], [0.7963, 0.0617, 0.3305], [0.7276, 0.7704, 0.1654], [0.2216, 0.7330, 0.1615], [0.1988, 0.9299, 0.6714], [0.2624, 0.2196, 0.8297]], "total_energy_ev_per_atom": -7.047, "crystal_system": "triclinic", "sg": "P1 (1)"}

=====

{"formula": "InFe2O4", "functional": "GGA+U", "state": "optimized geometry", "cell": [[8.7475, -1.7012, 0.0000], [8.7475, 1.7012, 0.0000], [8.4167, 0.0000, 2.9280]], "species": ["Fe", "Fe", "O", "O", "O", "O", "In"], "frac_coords": [[0.7851, 0.7851, 0.7851], [0.2149, 0.2149, 0.2149], [0.2922, 0.2922, 0.2922], [0.7078, 0.7078, 0.7078], [0.8706, 0.8706, 0.8706], [0.1294, 0.1294, 0.1294], [0.0000, 0.0000, 0.0000]], "total_energy_ev_per_atom": -6.257, "crystal_system": "trigonal", "sg": "R-3m (166)"}

=====

{"formula": "SrCa7Mn6Cr2O20", "functional": "GGA+U", "state": "optimized geometry", "cell": [[-0.1553, 2.5965, -7.4244], [-7.5808, -2.0237, -0.4496], [-2.2056, 6.9620, 2.2763]], "species": ["O", "O", "O", "O", "O", "O", "O", "O", "O", "O", "O", "O", "O", "O", "O", "O", "O", "O", "O", "O", "Mn", "Mn", "Mn", "Mn", "Mn", "Mn", "Ca", "Ca", "Ca", "Ca", "Ca", "Ca", "Ca", "Cr", "Cr", "Sr"], "frac_coords": [[0.2615, 0.5029, 0.4839], [0.5048, 0.2551, 0.0091], [0.5237, 0.7502, 0.0326], [0.2333, 0.9563, 0.0616], [0.9396, 0.9274, 0.7926], [0.7484, 0.5152, 0.0287], [0.2504, 0.0031, 0.5148], [0.7628, 0.0070, 0.4772], [0.0046, 0.5212, 0.7486], [0.5007, 0.7441, 0.4722], [0.0134, 0.5322, 0.2427], [0.2536, 0.5107, 0.0070], [0.5448, 0.0132, 0.2416], [0.5009, 0.2625, 0.4853], [0.5033, 0.5078, 0.7427], [0.0055, 0.2494, 0.5188], [0.7436, 0.5020, 0.4753], [0.9586, 0.2176, 0.0578], [0.0069, 0.7637, 0.4687], [0.5255, 0.9999, 0.7518], [0.5047, 0.5046, 0.4888], [0.0011, 0.0009, 0.5222], [0.5075, 0.0004, 0.4927], [0.9967, 0.4892, 0.0011], [0.9976, 0.5073, 0.4929], [0.5029, 0.5057, 0.9968], [0.7279, 0.7339, 0.7246], [0.7342, 0.2547, 0.2623], [0.2717, 0.2810, 0.7004], [0.7202, 0.2621, 0.7147], [0.2571, 0.7197, 0.7100], [0.2518, 0.7320, 0.2686], [0.7412, 0.7457, 0.2703], [0.0283, 0.0180, 0.9804], [0.4740, 0.9962, 0.0044], [0.2470, 0.2572, 0.2570]], "total_energy_ev_per_atom": -6.968, "crystal_system": "triclinic", "sg": "P1 (1)"}

=====

{"formula": "MgV4Zn2O12", "functional": "GGA+U", "state": "optimized geometry", "cell": [[5.1575, -0.0416, 0.0274], [0.0510, 5.2562, -0.0077], [0.0610, 0.0053, 7.3959]], "species": ["O", "O", "O", "O", "O", "O", "O", "O", "O", "O", "O", "O", "V", "V", "V", "V", "Zn", "Zn", "Mg"], "frac_coords": [[0.8346, 0.1978, 0.4458], [0.1801, 0.8036, 0.5563], [0.1808, 0.8015, 0.9436], [0.1396, 0.5315, 0.2449], [0.7160, 0.6578, 0.0649], [0.7154, 0.7037, 0.4371], [0.3440, 0.2899, 0.5349], [0.9535, 0.4074, 0.7679], [0.8296, 0.1593, 0.0749], [0.3464, 0.2931, 0.9611], [0.6243, 0.9542, 0.7646], [0.3964, 0.0024, 0.2430], [0.0145, 0.5166, 0.9966], [0.0268, 0.4791, 0.5074], [0.5241, 0.0276, 0.0082], [0.5125, 0.9860, 0.5160], [0.5197, 0.4664, 0.2739], [0.0052, 0.0181, 0.7505], [0.0058, 0.9289, 0.2749]], "total_energy_ev_per_atom": -6.709, "crystal_system": "triclinic", "sg": "P1 (1)"}

=====

{"formula": "MgAlTlMo2O8", "functional": "GGA+U", "state": "optimized geometry", "cell": [[-2.5353, -5.1634, -0.2799], [5.6404, 0.4992, -1.0505], [1.6864, -1.2856, 8.4432]], "species": ["O", "O", "O", "O", "O", "O", "O", "O", "Mo", "Mo", "Mg", "Al", "Tl"], "frac_coords": [[0.3333, 0.6667, 0.5993], [0.1473, 0.2946, 0.8779], [0.1473, 0.8527, 0.8779], [0.8453, 0.6905, 0.1533], [0.7054, 0.8527, 0.8779], [0.3095, 0.1547, 0.1533], [0.6667, 0.3333, 0.4076], [0.8453, 0.1547, 0.1533], [0.3333, 0.6667, 0.8097], [0.6667, 0.3333, 0.2067], [0.0000, 0.0000, 0.7269], [0.0000, 0.0000, 0.0150], [0.0000, 0.0000, 0.3911]], "total_energy_ev_per_atom": -6.367, "crystal_system": "trigonal", "sg": "P3m1 (156)"}

=====

{"formula": "NaFe2P2H5O11", "functional": "GGA+U", "state": "optimized geometry", "cell": [[9.7587, 0.0000, 0.0000], [0.0000, 9.7737, 0.0000], [0.0000, 7.6884, 9.5726]], "species": ["P", "P", "P", "P", "P", "P", "P", "P", "Fe", "Fe", "Fe", "Fe", "Fe", "Fe", "Fe", "Fe", "H", "H", "H", "H", "H", "H", "H", "H", "H", "H", "H", "H", "H", "H", "H", "H", "H", "H", "H", "H", "O", "O", "O", "O", "O", "O", "O", "O", "O", "O", "O", "O", "O", "O", "O", "O", "O", "O", "O", "O", "O", "O", "O", "O", "O", "O", "O", "O", "O", "O", "O", "O", "O", "O", "O", "O", "O", "O", "O", "O", "O", "O", "O", "O", "Na", "Na", "Na", "Na"], "frac_coords": [[0.3207, 0.8370, 0.7901], [0.9660, 0.6441, 0.7098], [0.8207, 0.1630, 0.7099], [0.6793, 0.1630, 0.2099], [0.0340, 0.3559, 0.2902], [0.1793, 0.8370, 0.2901], [0.5340, 0.6441, 0.2098], [0.4660, 0.3559, 0.7902], [0.0490, 0.0223, 0.6095], [0.2315, 0.7121, 0.0973], [0.5490, 0.9777, 0.8905], [0.2685, 0.7121, 0.5973], [0.7315, 0.2879, 0.4027], [0.7685, 0.2879, 0.9027], [0.4510, 0.0223, 0.1095], [0.9510, 0.9777, 0.3905], [0.8582, 0.6571, 0.2270], [0.4775, 0.9280, 0.3919], [0.0258, 0.1532, 0.9509], [0.2970, 0.0456, 0.9288], [0.9140, 0.8058, 0.2316], [0.4742, 0.1532, 0.4509], [0.0225, 0.9280, 0.8919], [0.5860, 0.8058, 0.7316], [0.9775, 0.0720, 0.1081], [0.5225, 0.0720, 0.6081], [0.5258, 0.8468, 0.5491], [0.0860, 0.1942, 0.7684], [0.4140, 0.1942, 0.2684], [0.1418, 0.3429, 0.7730], [0.7030, 0.9544, 0.0712], [0.2030, 0.0456, 0.4288], [0.9742, 0.8468, 0.0491], [0.7970, 0.9544, 0.5712], [0.6418, 0.6571, 0.7270], [0.3582, 0.3429, 0.2730], [0.2731, 0.7066, 0.9432], [0.2244, 0.9977, 0.6998], [0.0483, 0.8490, 0.9919], [0.3677, 0.4933, 0.6748], [0.1446, 0.2152, 0.8219], [0.9517, 0.1510, 0.0081], [0.5329, 0.0893, 0.2194], [0.7244, 0.0023, 0.8002], [0.6446, 0.7848, 0.6781], [0.9671, 0.0893, 0.7194], [0.8925, 0.4388, 0.2774], [0.6657, 0.2680, 0.2636], [0.4671, 0.9107, 0.7806], [0.8677, 0.5067, 0.8252], [0.0144, 0.2225, 0.2611], [0.4517, 0.8490, 0.4919], [0.8554, 0.7848, 0.1781], [0.6323, 0.5067, 0.3252], [0.3554, 0.2152, 0.3219], [0.4856, 0.2225, 0.7611], [0.3571, 0.9438, 0.9969], [0.4061, 0.2669, 0.9385], [0.3925, 0.5612, 0.2226], [0.6075, 0.4388, 0.7774], [0.5939, 0.7331, 0.0615], [0.1323, 0.4933, 0.1748], [0.7731, 0.2934, 0.5568], [0.2756, 0.9977, 0.1998], [0.7756, 0.0023, 0.3002], [0.0329, 0.9107, 0.2806], [0.3343, 0.7320, 0.7364], [0.9856, 0.7775, 0.7389], [0.8343, 0.2680, 0.7636], [0.8571, 0.0562, 0.5031], [0.1429, 0.9438, 0.4969], [0.1075, 0.5612, 0.7226], [0.2269, 0.7066, 0.4432], [0.1657, 0.7320, 0.2364], [0.6429, 0.0562, 0.0031], [0.7269, 0.2934, 0.0568], [0.5144, 0.7775, 0.2389], [0.0939, 0.2669, 0.4385], [0.9061, 0.7331, 0.5615], [0.5483, 0.1510, 0.5081], [0.2046, 0.3918, 0.0182], [0.7954, 0.6082, 0.9818], [0.2954, 0.3918, 0.5182], [0.7046, 0.6082, 0.4818]], "total_energy_ev_per_atom": -6.171, "crystal_system": "monoclinic", "sg": "P2_1/c (14)"}

=====

{"formula": "Li2ZnCr3S6O24", "functional": "GGA+U", "state": "optimized geometry", "cell": [[8.3816, 0.0000, 0.0000], [-4.1786, 7.3064, 0.0000], [-4.0127, -2.4646, 7.6174]], "species": ["S", "S", "S", "S", "S", "S", "O", "O", "O", "O", "O", "O", "O", "O", "O", "O", "O", "O", "O", "O", "O", "O", "O", "O", "O", "O", "O", "O", "O", "O", "Cr", "Cr", "Cr", "Li", "Li", "Zn"], "frac_coords": [[0.8041, 0.0545, 0.2528], [0.5013, 0.4508, 0.2516], [0.1955, 0.7420, 0.2459], [0.4984, 0.5331, 0.7521], [0.2093, 0.9666, 0.7448], [0.7826, 0.2453, 0.7461], [0.9911, 0.3670, 0.7537], [0.3843, 0.4840, 0.0918], [0.1791, 0.7025, 0.0768], [0.6112, 0.5013, 0.9174], [0.3434, 0.7035, 0.3827], [0.8174, 0.3093, 0.9183], [0.6322, 0.2895, 0.6085], [0.6517, 0.6522, 0.6980], [0.6987, 0.0410, 0.6983], [0.3153, 0.3398, 0.6095], [0.8670, 0.2478, 0.2294], [0.9777, 0.6174, 0.2224], [0.3455, 0.3168, 0.2994], [0.4092, 0.1003, 0.9163], [0.2595, 0.9774, 0.6030], [0.1213, 0.7666, 0.7532], [0.2725, 0.9479, 0.2968], [0.7713, 0.0499, 0.4053], [0.6098, 0.3633, 0.2291], [0.3918, 0.6214, 0.7703], [0.9822, 0.0297, 0.2952], [0.6112, 0.9018, 0.0932], [0.0447, 0.0092, 0.7042], [0.6778, 0.6347, 0.4028], [0.2967, 0.6559, 0.9390], [0.3013, 0.1473, 0.4520], [0.7100, 0.3522, 0.0661], [0.0535, 0.2333, 0.6288], [0.8091, 0.5740, 0.6258], [0.6655, 0.8393, 0.5266]], "total_energy_ev_per_atom": -6.335, "crystal_system": "triclinic", "sg": "P1 (1)"}